[1]
The following is a DFT calculation (meta-GGA r2SCAN) of a geometry-optimized Tm2Au structure.

Summary:
energy of formation from the pure elements	-0.7643	eV per atom
final energy	-41.04	eV per atom
spin magnetization	0.000	μB per formula unit

Cell: 6.9847 4.8686 8.7357 Å, 90.00 90.00 90.00°
With the nearest neighbours (Å) after each atom.
Space group Pnma (No. 62)
One atom of each set of equivalent atoms:
Tm: 0.0130 0.2500 0.1761 x4  3 Au 2.88-3.10
Tm: 0.1477 0.2500 0.5812 x4  4 Au 2.83-2.99
Au: 0.2431 0.2500 0.9028 x4  7 Tm 2.83-3.10

[2]
The following is a DFT calculation (meta-GGA r2SCAN) of a geometry-optimized Tm2ZnAu structure.

Summary:
energy of formation from the pure elements	-0.6885	eV per atom
final energy	-33.12	eV per atom
spin magnetization	0.000	μB per formula unit

Cell: 7.0175 7.0175 7.0175 Å, 90.00 90.00 90.00°
With the nearest neighbours (Å) after each atom.
Space group Fm-3m (No. 225)
One atom of each set of equivalent atoms:
Tm: 0.2500 0.2500 0.2500 x8  4 Zn 3.04, 4 Au 3.04
Zn: 0.0000 0.0000 0.0000 x4  8 Tm 3.04
Au: 0.0000 0.0000 0.5000 x4  8 Tm 3.04

[3]
The following is a DFT calculation (meta-GGA r2SCAN) of a geometry-optimized UAu2 structure.

Summary:
energy of formation from the pure elements	-0.4873	eV per atom
final energy	-60.86	eV per atom
spin magnetization	2.429	μB per formula unit

Cell: 4.7692 4.7692 3.2102 Å, 90.00 90.00 120.00°
With the nearest neighbours (Å) after each atom.
Space group P6/mmm (No. 191)
One atom of each set of equivalent atoms:
U: 0.0000 0.0000 0.0000 x1  12 Au 3.19, 2 U 3.21
Au: 0.3333 0.6667 0.5000 x2  3 Au 2.75

[4]
The following is a DFT calculation (meta-GGA r2SCAN) of a geometry-optimized V3Au structure.

Summary:
energy of formation from the pure elements	-0.0884	eV per atom
final energy	-23.30	eV per atom
spin magnetization	2.034	μB per formula unit

Cell: 4.8532 4.8532 4.8532 Å, 90.00 90.00 90.00°
With the nearest neighbours (Å) after each atom.
Space group Pm-3n (No. 223)
One atom of each set of equivalent atoms:
V: 0.0000 0.2500 0.5000 x6  2 V 2.43, 4 Au 2.71
Au: 0.0000 0.0000 0.0000 x2  12 V 2.71

[5]
The following is a DFT calculation (meta-GGA r2SCAN) of a geometry-optimized YAu structure.

Summary:
energy of formation from the pure elements	-0.9287	eV per atom
final energy	-36.38	eV per atom
spin magnetization	0.000	μB per formula unit

Cell: 3.5866 3.5866 3.5866 Å, 90.00 90.00 90.00°
With the nearest neighbours (Å) after each atom.
Space group Pm-3m (No. 221)
One atom of each set of equivalent atoms:
Y: 0.0000 0.0000 0.0000 x1  8 Au 3.11
Au: 0.5000 0.5000 0.5000 x1  8 Y 3.11

[6]
The following is a DFT calculation (meta-GGA r2SCAN) of a geometry-optimized YAu structure.

Summary:
energy of formation from the pure elements	-0.9713	eV per atom
final energy	-36.42	eV per atom
spin magnetization	0.000	μB per formula unit

Cell: 3.7460 10.9440 4.6412 Å, 90.00 90.00 90.00°
With the nearest neighbours (Å) after each atom.
Space group Cmcm (No. 63)
One atom of each set of equivalent atoms:
Y: 0.0000 0.1385 0.2500 x4  7 Au 3.00-3.10
Au: 0.0000 0.4129 0.2500 x4  7 Y 3.00-3.10, 2 Au 3.00

[7]
The following is a DFT calculation (meta-GGA r2SCAN) of a geometry-optimized Y3Au2 structure.

Summary:
energy of formation from the pure elements	-0.7708	eV per atom
final energy	-33.19	eV per atom
spin magnetization	0.000	μB per formula unit

Cell: 8.1383 8.1383 3.8094 Å, 90.00 90.00 90.00°
With the nearest neighbours (Å) after each atom.
Space group P4/mbm (No. 127)
One atom of each set of equivalent atoms:
Y: 0.0000 0.0000 0.0000 x2  4 Au 3.17
Y: 0.1612 0.3388 0.5000 x4  6 Au 3.03-3.08
Au: 0.1345 0.6345 0.0000 x4  8 Y 3.03-3.17, 1 Au 3.10

[8]
The following is a DFT calculation (meta-GGA r2SCAN) of a geometry-optimized YbAu structure.

Summary:
energy of formation from the pure elements	-1.0033	eV per atom
final energy	-44.56	eV per atom
spin magnetization	0.000	μB per formula unit

Cell: 7.0091 4.6251 5.5213 Å, 90.00 90.00 90.00°
With the nearest neighbours (Å) after each atom.
Space group Pnma (No. 62)
One atom of each set of equivalent atoms:
Yb: 0.1879 0.2500 0.1548 x4  7 Au 2.91-3.03
Au: 0.0415 0.2500 0.6611 x4  7 Yb 2.91-3.03, 2 Au 2.98

[9]
The following is a DFT calculation (meta-GGA r2SCAN) of a geometry-optimized YbAu structure.

Summary:
energy of formation from the pure elements	-0.9939	eV per atom
final energy	-44.55	eV per atom
spin magnetization	0.000	μB per formula unit

Cell: 3.5105 3.5105 3.5105 Å, 90.00 90.00 90.00°
With the nearest neighbours (Å) after each atom.
Space group Pm-3m (No. 221)
One atom of each set of equivalent atoms:
Yb: 0.0000 0.0000 0.0000 x1  8 Au 3.04
Au: 0.5000 0.5000 0.5000 x1  8 Yb 3.04

[10]
The following is a DFT calculation (meta-GGA r2SCAN) of a geometry-optimized YbAu3 structure.

Summary:
energy of formation from the pure elements	-0.7483	eV per atom
final energy	-47.82	eV per atom
spin magnetization	0.000	μB per formula unit

Cell: 6.0452 6.0452 4.8450 Å, 90.00 90.00 120.00°
With the nearest neighbours (Å) after each atom.
Space group P6_3/mmc (No. 194)
One atom of each set of equivalent atoms:
Yb: 0.3333 0.6667 0.2500 x2  12 Au 3.00-3.02
Au: 0.1642 0.3284 0.7500 x6  8 Au 2.97-3.07, 4 Yb 3.00-3.02

[11]
The following is a DFT calculation (meta-GGA r2SCAN) of a geometry-optimized Yb2Au structure.

Summary:
energy of formation from the pure elements	-0.7853	eV per atom
final energy	-42.00	eV per atom
spin magnetization	0.000	μB per formula unit

Cell: 6.9673 4.8376 8.6970 Å, 90.00 90.00 90.00°
With the nearest neighbours (Å) after each atom.
Space group Pnma (No. 62)
One atom of each set of equivalent atoms:
Yb: 0.0150 0.2500 0.1763 x4  3 Au 2.87-3.09
Yb: 0.1470 0.2500 0.5798 x4  4 Au 2.82-2.97
Au: 0.2427 0.2500 0.9017 x4  7 Yb 2.82-3.09

[12]
The following is a DFT calculation (meta-GGA r2SCAN) of a geometry-optimized YbAu3 structure.

Summary:
energy of formation from the pure elements	-0.7967	eV per atom
final energy	-47.87	eV per atom
spin magnetization	0.000	μB per formula unit

Cell: 4.9420 6.0603 5.0886 Å, 90.00 90.00 90.00°
With the nearest neighbours (Å) after each atom.
Space group Pmmn (No. 59, origin choice 2)
One atom of each set of equivalent atoms:
Yb: 0.2500 0.2500 0.1551 x2  12 Au 2.94-3.03
Au: 0.2500 0.5044 0.6626 x4  8 Au 2.94-3.08, 4 Yb 2.94-3.03
Au: 0.2500 0.7500 0.1645 x2  8 Au 2.94-3.04, 4 Yb 2.96-3.03

[13]
The following is a DFT calculation (meta-GGA r2SCAN) of a geometry-optimized Zn3Au structure.

Summary:
energy of formation from the pure elements	-0.1495	eV per atom
final energy	-19.48	eV per atom
spin magnetization	0.000	μB per formula unit

Cell: 5.4643 5.4643 4.6034 Å, 90.00 90.00 120.00°
With the nearest neighbours (Å) after each atom.
Space group P6_3/mmc (No. 194)
One atom of each set of equivalent atoms:
Zn: 0.1651 0.3302 0.2500 x6  8 Zn 2.71-2.78, 4 Au 2.73-2.80
Au: 0.3333 0.6667 0.7500 x2  12 Zn 2.73-2.80

[14]
The following is a DFT calculation (meta-GGA r2SCAN) of a geometry-optimized ZnAu3 structure.

Summary:
energy of formation from the pure elements	-0.1576	eV per atom
final energy	-40.32	eV per atom
spin magnetization	0.000	μB per formula unit

Cell: 16.7487 5.6520 5.6327 Å, 90.00 90.00 90.00°
With the nearest neighbours (Å) after each atom.
Space group Cmce (No. 64)
One atom of each set of equivalent atoms:
Zn: 0.1365 0.0000 0.0000 x8  10 Au 2.70-2.84
Au: 0.0000 0.1800 0.1809 x8  2 Zn 2.70, 9 Au 2.87-2.93
Au: 0.1189 0.0000 0.5000 x8  4 Zn 2.83-2.84, 8 Au 2.87-2.97
Au: 0.2500 0.2469 0.7500 x8  4 Zn 2.75-2.76, 8 Au 2.82-2.97

[15]
The following is a DFT calculation (meta-GGA r2SCAN) of a geometry-optimized Zn3Au structure.

Summary:
energy of formation from the pure elements	-0.1769	eV per atom
final energy	-19.51	eV per atom
spin magnetization	0.000	μB per formula unit

Cell: 7.8610 7.8610 7.8610 Å, 90.00 90.00 90.00°
With the nearest neighbours (Å) after each atom.
Space group Pm-3n (No. 223)
One atom of each set of equivalent atoms:
Zn: 0.0000 0.1631 0.3011 x24  3 Zn 2.56-2.60, 4 Au 2.68-2.82
Au: 0.0000 0.0000 0.0000 x2  12 Zn 2.69
Au: 0.0000 0.5000 0.2500 x6  12 Zn 2.68-2.82

[16]
The following is a DFT calculation (meta-GGA r2SCAN) of a geometry-optimized ZnAu3 structure.

Summary:
energy of formation from the pure elements	-0.1580	eV per atom
final energy	-40.32	eV per atom
spin magnetization	0.000	μB per formula unit

Cell: 5.6381 5.6381 33.5134 Å, 90.00 90.00 90.00°
With the nearest neighbours (Å) after each atom.
Space group I4_1/acd (No. 142, origin choice 2)
One atom of each set of equivalent atoms:
Zn: 0.0000 0.2500 0.0569 x16  10 Au 2.70-2.83
Au: 0.0000 0.2500 0.3155 x16  4 Zn 2.83, 8 Au 2.87-2.97
Au: 0.1813 0.0687 0.1250 x16  2 Zn 2.70, 9 Au 2.87-2.92
Au: 0.2482 0.0000 0.7500 x16  4 Zn 2.75-2.76, 8 Au 2.82-2.97

[17]
The following is a DFT calculation (meta-GGA r2SCAN) of a geometry-optimized ZrAu structure.

Summary:
energy of formation from the pure elements	-0.5330	eV per atom
final energy	-37.20	eV per atom
spin magnetization	0.000	μB per formula unit

Cell: 3.1657 3.1657 3.9175 Å, 90.00 90.00 90.00°
With the nearest neighbours (Å) after each atom.
Space group P4/mmm (No. 123)
One atom of each set of equivalent atoms:
Zr: 0.0000 0.0000 0.0000 x1  8 Au 2.97, 4 Zr 3.17
Au: 0.5000 0.5000 0.5000 x1  8 Zr 2.97, 4 Au 3.17

[18]
The following is a DFT calculation (meta-GGA r2SCAN) of a geometry-optimized ZrAu4 structure.

Summary:
energy of formation from the pure elements	-0.4759	eV per atom
final energy	-45.49	eV per atom
spin magnetization	0.000	μB per formula unit

Cell: 5.0794 4.9308 14.4529 Å, 90.00 90.00 90.00°
With the nearest neighbours (Å) after each atom.
Space group Pnma (No. 62)
One atom of each set of equivalent atoms:
Zr: 0.1553 0.2500 0.0981 x4  12 Au 2.88-3.00
Au: 0.1550 0.2500 0.2985 x4  3 Zr 2.90-2.95, 9 Au 2.90-3.01
Au: 0.1604 0.2500 0.4997 x4  8 Au 2.84-3.00, 4 Zr 2.88-3.00
Au: 0.1612 0.2500 0.8992 x4  9 Au 2.81-3.01, 3 Zr 2.88-2.94
Au: 0.1790 0.2500 0.6962 x4  10 Au 2.81-3.00, 2 Zr 2.97

[19]
The following is a DFT calculation (meta-GGA r2SCAN) of a geometry-optimized BaB6 structure.

Summary:
energy of formation from the pure elements	-0.4699	eV per atom
final energy	-10.55	eV per atom
spin magnetization	0.000	μB per formula unit

Cell: 4.2764 4.2764 4.2764 Å, 90.00 90.00 90.00°
With the nearest neighbours (Å) after each atom.
Space group Pm-3m (No. 221)
One atom of each set of equivalent atoms:
Ba: 0.0000 0.0000 0.0000 x1  24 B 3.15
B: 0.2057 0.5000 0.5000 x6  5 B 1.76-1.78